Run A
Here is crystalline PWO5 at its relaxed geometry from the Materials Project. Energies are from meta-GGA r2SCAN.

Magnetization (Bohr magnetons per cell): 4.0

Cell and atoms, written as CIF:
```
data_PWO5
_cell_length_a 11.2546
_cell_length_b 6.6308
_cell_length_c 5.2858
_cell_angle_alpha 90.00
_cell_angle_beta 90.00
_cell_angle_gamma 90.00
_space_group_name_H-M_alt 'P n a 21'
_space_group_IT_number 33
_space_group_name_Hall 'P 2c -2n'
loop_
_atom_site_label
_atom_site_type_symbol
_atom_site_fract_x
_atom_site_fract_y
_atom_site_fract_z
P1 P 0.1557 0.0288 0.0000
W1 W 0.0605 0.3323 0.4930
O1 O 0.0031 0.4895 0.2291
O2 O 0.0863 0.8313 0.9918
O3 O 0.1226 0.1606 0.7756
O4 O 0.1305 0.1363 0.2486
O5 O 0.2126 0.4815 0.4873
```


Run B
Here is crystalline PWO5 at its relaxed geometry from the Materials Project. Energies are from meta-GGA r2SCAN.

Magnetization (Bohr magnetons per cell): 4.0

Cell and atoms, written as CIF:
```
data_PWO5
_cell_length_a 7.3726
_cell_length_b 7.4115
_cell_length_c 7.3424
_cell_angle_alpha 90.00
_cell_angle_beta 119.44
_cell_angle_gamma 90.00
_space_group_name_H-M_alt 'C 1 2/c 1'
_space_group_IT_number 15
_space_group_name_Hall '-C 2yc'
loop_
_atom_site_label
_atom_site_type_symbol
_atom_site_fract_x
_atom_site_fract_y
_atom_site_fract_z
P1 P 0.0000 0.1252 0.2500
W1 W 0.0000 0.5000 0.0000
O1 O 0.0000 0.4384 0.7500
O2 O 0.0037 0.2427 0.0799
O3 O 0.1910 0.0038 0.3489
```


What are the relative energies? In meV per atom: run A 0; run B 31.


Run A
Here is crystalline Pb3O4 at its relaxed geometry from the Materials Project. Energies are from meta-GGA r2SCAN.

Magnetization (Bohr magnetons per cell): 0.0

Cell and atoms, written as CIF:
```
data_Pb3O4
_cell_length_a 6.8981
_cell_length_b 9.9540
_cell_length_c 3.4537
_cell_angle_alpha 90.00
_cell_angle_beta 90.00
_cell_angle_gamma 90.00
_space_group_name_H-M_alt 'P b a m'
_space_group_IT_number 55
_space_group_name_Hall '-P 2 2ab'
loop_
_atom_site_label
_atom_site_type_symbol
_atom_site_fract_x
_atom_site_fract_y
_atom_site_fract_z
Pb1 Pb 0.0000 0.0000 0.0000
Pb2 Pb 0.0002 0.3106 0.5000
O1 O 0.1485 0.1918 0.0000
O2 O 0.1591 0.9091 0.5000
```


Run B
Here is crystalline Pb3O4 at its relaxed geometry from the Materials Project. Energies are from meta-GGA r2SCAN.

Magnetization (Bohr magnetons per cell): 0.0

Cell and atoms, written as CIF:
```
data_Pb3O4
_cell_length_a 8.8940
_cell_length_b 8.8940
_cell_length_c 6.6460
_cell_angle_alpha 90.00
_cell_angle_beta 90.00
_cell_angle_gamma 90.00
_space_group_name_H-M_alt 'P 42/m b c'
_space_group_IT_number 135
_space_group_name_Hall '-P 4c 2ab'
loop_
_atom_site_label
_atom_site_type_symbol
_atom_site_fract_x
_atom_site_fract_y
_atom_site_fract_z
Pb1 Pb 0.0000 0.5000 0.2500
Pb2 Pb 0.1444 0.1634 0.0000
O1 O 0.0943 0.6351 0.0000
O2 O 0.1714 0.3286 0.2500
```


What are the relative energies? In meV per atom: run A 33; run B 0.